{"formula": "CeAs2Rh2", "functional": "PBE", "state": "optimized geometry", "lattice": [[-3.480, -1.344, -2.146], [0.545, -3.960, 1.597], [-5.762, 2.375, 7.855]], "species": ["As", "Rh", "Ce", "Rh", "As", "Rh", "Ce", "As", "Rh", "As"], "frac_coords": [[0.000, 0.000, 0.500], [0.000, 0.500, 0.621], [0.500, 0.000, 0.748], [0.500, 0.500, 0.000], [0.500, 0.500, 0.500], [0.000, 0.000, 0.000], [0.000, 0.500, 0.252], [0.500, 0.000, 0.138], [0.500, 0.000, 0.379], [0.000, 0.500, 0.862]], "rho_g_cm3": 8.86, "formation_enthalpy_0k_kcal_per_mol_atoms": -21.3, "dft_energy_ev_per_atom": -6.919}